1.
A plane-wave DFT calculation with PBE-GGA was carried out for an optimized crystal structure of NaSrPrSbO6.

## Properties
As for the crystal system: cubic. For the total energy, the calculation gives -6.25 eV/atom. Its energy of formation is -2.498 eV/atom. Its MP2020-corrected energy is -0.2447 hartree per atom. As for the volume: 15.97 A^3/atom. The calculation puts the spin magnetization at 1.0 Bohr magnetons per cell.

abc: 6.089 6.089 6.089
angles: 60.00 60.00 60.00
Element x y z (fractional)
1 O 0.269 0.731 0.269
2 Sr 0.250 0.250 0.250
3 Sb 0.500 0.500 0.500
4 O 0.731 0.731 0.269
5 O 0.731 0.269 0.269
6 Na 0.750 0.750 0.750
7 O 0.731 0.269 0.731
8 Pr 0.000 0.000 0.000
9 O 0.269 0.269 0.731
10 O 0.269 0.731 0.731

=====

2.
A plane-wave DFT calculation with PBE-GGA was carried out for an optimized crystal structure of NaSrPrSbO6.

## Properties
As for the crystal system: orthorhombic. For the total energy, the calculation gives -6.30 eV/atom. Its energy of formation is -2.547 eV/atom. Its MP2020-corrected energy is -0.2465 hartree per atom. As for the volume: 15.47 A^3/atom. The calculation puts the spin magnetization at 4.0 Bohr magnetons per cell.

abc: 8.497 8.561 8.509
angles: 90.00 90.00 90.00
Element x y z (fractional)
1 Sr 0.000 0.500 0.000
2 O 0.478 0.702 0.778
3 Sb 0.250 0.750 0.750
4 O 0.783 0.295 0.980
5 O 0.283 0.205 0.480
6 O 0.783 0.705 0.020
7 O 0.794 0.478 0.714
8 O 0.283 0.795 0.520
9 O 0.294 0.022 0.214
10 O 0.294 0.978 0.786
11 O 0.522 0.702 0.222
12 Na 0.000 0.000 0.000
13 Na 0.500 0.000 0.000
14 O 0.217 0.705 0.980
15 O 0.022 0.798 0.722
16 O 0.717 0.205 0.520
17 Sr 0.500 0.000 0.500
18 Pr 0.750 0.750 0.750
19 O 0.717 0.795 0.480
20 O 0.978 0.202 0.722
21 O 0.978 0.798 0.278
22 Na 0.000 0.500 0.500
23 O 0.022 0.202 0.278
24 Sr 0.000 0.000 0.500
25 O 0.217 0.295 0.020
26 Sb 0.750 0.250 0.750
27 O 0.478 0.298 0.222
28 Pr 0.250 0.250 0.750
29 O 0.206 0.478 0.286
30 Sb 0.250 0.250 0.250
31 Sr 0.500 0.500 0.000
32 Na 0.500 0.500 0.500
33 O 0.522 0.298 0.778
34 Pr 0.750 0.250 0.250
35 Sb 0.750 0.750 0.250
36 O 0.794 0.522 0.286
37 O 0.206 0.522 0.714
38 Pr 0.250 0.750 0.250
39 O 0.706 0.022 0.786
40 O 0.706 0.978 0.214

=====

3.
A plane-wave DFT calculation with PBE-GGA was carried out for an optimized crystal structure of NaPrYSbO6.

## Properties
As for the crystal system: cubic. For the total energy, the calculation gives -7.01 eV/atom. Its energy of formation is -2.788 eV/atom. Its MP2020-corrected energy is -0.2729 hartree per atom. As for the volume: 14.37 A^3/atom. The calculation puts the spin magnetization at 0.0 Bohr magnetons per cell.

abc: 5.879 5.879 5.879
angles: 60.00 60.00 60.00
Element x y z (fractional)
1 O 0.237 0.237 0.763
2 Pr 0.750 0.750 0.750
3 O 0.763 0.763 0.237
4 O 0.237 0.763 0.763
5 Sb 0.000 0.000 0.000
6 O 0.763 0.237 0.763
7 O 0.763 0.237 0.237
8 O 0.237 0.763 0.237
9 Na 0.250 0.250 0.250
10 Y 0.500 0.500 0.500

=====

4.
A plane-wave DFT calculation with PBE-GGA was carried out for an optimized crystal structure of NaPrSe2O8.

## Properties
As for the crystal system: triclinic. For the total energy, the calculation gives -5.90 eV/atom. Its energy of formation is -1.973 eV/atom. Its MP2020-corrected energy is -0.2338 hartree per atom. As for the volume: 14.85 A^3/atom. The calculation puts the spin magnetization at 0.0 Bohr magnetons per cell.

abc: 6.714 7.243 7.478
angles: 99.18 96.95 89.78
Element x y z (fractional)
1 Na 0.932 0.310 0.724
2 O 0.595 0.466 0.759
3 Pr 0.644 0.806 0.802
4 Na 0.068 0.690 0.276
5 O 0.568 0.093 0.683
6 O 0.008 0.351 0.156
7 O 0.405 0.534 0.241
8 O 0.721 0.705 0.481
9 O 0.992 0.649 0.844
10 O 0.712 0.712 0.120
11 Se 0.432 0.285 0.711
12 O 0.279 0.295 0.519
13 O 0.966 0.983 0.762
14 O 0.034 0.017 0.238
15 O 0.255 0.740 0.607
16 Pr 0.356 0.194 0.198
17 O 0.677 0.112 0.049
18 Se 0.133 0.814 0.785
19 O 0.432 0.907 0.317
20 O 0.288 0.288 0.880
21 Se 0.867 0.186 0.215
22 O 0.745 0.260 0.393
23 Se 0.568 0.715 0.289
24 O 0.323 0.888 0.951

=====

Question: What is the formula in the fourth record?
Answer: NaPrSe2O8

=====

Repeat the second record exactly.
A plane-wave DFT calculation with PBE-GGA was carried out for an optimized crystal structure of NaSrPrSbO6.

## Properties
As for the crystal system: orthorhombic. For the total energy, the calculation gives -6.30 eV/atom. Its energy of formation is -2.547 eV/atom. Its MP2020-corrected energy is -0.2465 hartree per atom. As for the volume: 15.47 A^3/atom. The calculation puts the spin magnetization at 4.0 Bohr magnetons per cell.

abc: 8.497 8.561 8.509
angles: 90.00 90.00 90.00
Element x y z (fractional)
1 Sr 0.000 0.500 0.000
2 O 0.478 0.702 0.778
3 Sb 0.250 0.750 0.750
4 O 0.783 0.295 0.980
5 O 0.283 0.205 0.480
6 O 0.783 0.705 0.020
7 O 0.794 0.478 0.714
8 O 0.283 0.795 0.520
9 O 0.294 0.022 0.214
10 O 0.294 0.978 0.786
11 O 0.522 0.702 0.222
12 Na 0.000 0.000 0.000
13 Na 0.500 0.000 0.000
14 O 0.217 0.705 0.980
15 O 0.022 0.798 0.722
16 O 0.717 0.205 0.520
17 Sr 0.500 0.000 0.500
18 Pr 0.750 0.750 0.750
19 O 0.717 0.795 0.480
20 O 0.978 0.202 0.722
21 O 0.978 0.798 0.278
22 Na 0.000 0.500 0.500
23 O 0.022 0.202 0.278
24 Sr 0.000 0.000 0.500
25 O 0.217 0.295 0.020
26 Sb 0.750 0.250 0.750
27 O 0.478 0.298 0.222
28 Pr 0.250 0.250 0.750
29 O 0.206 0.478 0.286
30 Sb 0.250 0.250 0.250
31 Sr 0.500 0.500 0.000
32 Na 0.500 0.500 0.500
33 O 0.522 0.298 0.778
34 Pr 0.750 0.250 0.250
35 Sb 0.750 0.750 0.250
36 O 0.794 0.522 0.286
37 O 0.206 0.522 0.714
38 Pr 0.250 0.750 0.250
39 O 0.706 0.022 0.786
40 O 0.706 0.978 0.214